[1]
VASP calculation (PBE) on a relaxed structure of LiBeH3.

Cell: 6.054 6.166 13.212 Å, 90.00 97.67 90.00°
Sites, in units of the cell vectors:
Li 0.010 0.119 0.252
Li 0.010 0.381 0.752
Li 0.239 0.618 0.593
Li 0.239 0.882 0.093
Li 0.253 0.128 0.601
Li 0.253 0.372 0.101
Li 0.747 0.628 0.899
Li 0.747 0.872 0.399
Li 0.761 0.118 0.907
Li 0.761 0.382 0.407
Li 0.990 0.619 0.248
Li 0.990 0.881 0.748
Be 0.224 0.166 0.908
Be 0.224 0.334 0.408
Be 0.228 0.593 0.912
Be 0.228 0.907 0.412
Be 0.434 0.618 0.314
Be 0.434 0.882 0.814
Be 0.566 0.118 0.186
Be 0.566 0.382 0.686
Be 0.772 0.093 0.588
Be 0.772 0.407 0.088
Be 0.776 0.666 0.592
Be 0.776 0.834 0.092
H 0.026 0.120 0.841
H 0.026 0.380 0.341
H 0.027 0.644 0.848
H 0.027 0.856 0.348
H 0.197 0.131 0.010
H 0.197 0.369 0.510
H 0.225 0.623 0.018
H 0.225 0.877 0.518
H 0.292 0.120 0.384
H 0.292 0.380 0.884
H 0.293 0.617 0.219
H 0.293 0.883 0.719
H 0.332 0.119 0.194
H 0.332 0.381 0.694
H 0.422 0.696 0.880
H 0.422 0.804 0.380
H 0.424 0.064 0.882
H 0.424 0.436 0.382
H 0.576 0.564 0.618
H 0.576 0.936 0.118
H 0.578 0.196 0.620
H 0.578 0.304 0.120
H 0.668 0.619 0.306
H 0.668 0.881 0.806
H 0.707 0.117 0.281
H 0.707 0.383 0.781
H 0.708 0.620 0.116
H 0.708 0.880 0.616
H 0.775 0.123 0.482
H 0.775 0.377 0.982
H 0.803 0.631 0.490
H 0.803 0.869 0.990
H 0.973 0.144 0.652
H 0.973 0.356 0.152
H 0.974 0.620 0.659
H 0.974 0.880 0.159

The calculation puts the calculated formation energy at -0.33 eV/atom. The space group is P2_1/c, No. 14. The total energy is -0.12446 Ha/atom. The calculation puts the volume at 488.8 Å³/cell. Its excess energy over the best structure of this formula in the dataset is 0.000 eV per atom.

=====

[2]
VASP calculation (PBE) on a relaxed structure of Li34Sb9S6.

Cell: 11.706 11.706 11.706 Å, 129.98 129.98 73.45°
Sites, in units of the cell vectors:
Li 0.055 0.345 0.148
Li 0.070 0.344 0.893
Li 0.074 0.574 0.500
Li 0.094 0.945 0.290
Li 0.152 0.282 0.434
Li 0.177 0.070 0.726
Li 0.197 0.906 0.852
Li 0.206 0.513 0.871
Li 0.250 0.750 0.500
Li 0.282 0.848 0.129
Li 0.335 0.206 0.693
Li 0.344 0.451 0.274
Li 0.345 0.197 0.290
Li 0.358 0.665 0.871
Li 0.426 0.926 0.500
Li 0.451 0.177 0.107
Li 0.487 0.358 0.693
Li 0.513 0.642 0.307
Li 0.549 0.823 0.893
Li 0.574 0.074 0.500
Li 0.642 0.335 0.129
Li 0.655 0.803 0.710
Li 0.656 0.549 0.726
Li 0.665 0.794 0.307
Li 0.718 0.152 0.871
Li 0.750 0.250 0.500
Li 0.794 0.487 0.129
Li 0.803 0.094 0.148
Li 0.823 0.930 0.274
Li 0.848 0.718 0.566
Li 0.906 0.055 0.710
Li 0.926 0.426 0.500
Li 0.930 0.656 0.107
Li 0.945 0.655 0.852
Sb 0.034 0.214 0.562
Sb 0.214 0.652 0.180
Sb 0.348 0.528 0.562
Sb 0.472 0.034 0.820
Sb 0.500 0.500 0.000
Sb 0.528 0.966 0.180
Sb 0.652 0.472 0.438
Sb 0.786 0.348 0.820
Sb 0.966 0.786 0.438
S 0.102 0.685 0.787
S 0.184 0.184 0.000
S 0.315 0.102 0.417
S 0.685 0.898 0.583
S 0.816 0.816 0.000
S 0.898 0.315 0.213

The calculation puts the calculated formation energy at -0.85 eV/atom. The space group is I4/m, No. 87. The total energy is -0.12401 Ha/atom. The calculation puts the volume at 919.4 Å³/cell.

=====

[3]
VASP calculation (PBE) on a relaxed structure of NdAg2.

Cell: 4.840 4.840 3.566 Å, 90.00 90.00 120.00°
Sites, in units of the cell vectors:
Nd 0.000 0.000 0.000
Ag 0.333 0.667 0.500
Ag 0.667 0.333 0.500

The calculation puts the calculated formation energy at -0.27 eV/atom. The space group is P6/mmm, No. 191. The total energy is -0.13784 Ha/atom. The calculation puts the volume at 72.3 Å³/cell.

=====

[4]
VASP calculation (PBE) on a relaxed structure of Te.

Cell: 4.512 4.512 5.960 Å, 90.00 90.00 120.00°
Sites, in units of the cell vectors:
Te 0.000 0.731 0.167
Te 0.269 0.269 0.500
Te 0.731 0.000 0.833

As for the piezoelectric modulus e_max: 2.200 C/m². The calculation puts the calculated formation energy at 0.00 eV/atom. The space group is P3_121, No. 152. The total energy is -0.11551 Ha/atom. The calculation puts the volume at 105.1 Å³/cell. Its excess energy over the best structure of this formula in the dataset is 0.000 eV per atom.

=====

[5]
VASP calculation (PBE) on a relaxed structure of Sm2Fe14B.

Cell: 8.748 8.748 12.061 Å, 90.00 90.00 90.00°
Sites, in units of the cell vectors:
Sm 0.143 0.143 0.000
Sm 0.232 0.232 0.500
Sm 0.268 0.732 0.000
Sm 0.357 0.643 0.500
Sm 0.643 0.357 0.500
Sm 0.732 0.268 0.000
Sm 0.768 0.768 0.500
Sm 0.857 0.857 0.000
Fe 0.000 0.000 0.385
Fe 0.000 0.000 0.615
Fe 0.000 0.500 0.000
Fe 0.000 0.500 0.500
Fe 0.037 0.640 0.176
Fe 0.037 0.640 0.824
Fe 0.067 0.725 0.373
Fe 0.067 0.725 0.627
Fe 0.097 0.903 0.204
Fe 0.097 0.903 0.796
Fe 0.140 0.463 0.324
Fe 0.140 0.463 0.676
Fe 0.183 0.183 0.254
Fe 0.183 0.183 0.746
Fe 0.225 0.433 0.127
Fe 0.225 0.433 0.873
Fe 0.275 0.933 0.373
Fe 0.275 0.933 0.627
Fe 0.317 0.683 0.246
Fe 0.317 0.683 0.754
Fe 0.360 0.963 0.176
Fe 0.360 0.963 0.824
Fe 0.403 0.403 0.296
Fe 0.403 0.403 0.704
Fe 0.433 0.225 0.127
Fe 0.433 0.225 0.873
Fe 0.463 0.140 0.324
Fe 0.463 0.140 0.676
Fe 0.500 0.000 0.000
Fe 0.500 0.000 0.500
Fe 0.500 0.500 0.115
Fe 0.500 0.500 0.885
Fe 0.537 0.860 0.324
Fe 0.537 0.860 0.676
Fe 0.567 0.775 0.127
Fe 0.567 0.775 0.873
Fe 0.597 0.597 0.296
Fe 0.597 0.597 0.704
Fe 0.640 0.037 0.176
Fe 0.640 0.037 0.824
Fe 0.683 0.317 0.246
Fe 0.683 0.317 0.754
Fe 0.725 0.067 0.373
Fe 0.725 0.067 0.627
Fe 0.775 0.567 0.127
Fe 0.775 0.567 0.873
Fe 0.817 0.817 0.254
Fe 0.817 0.817 0.746
Fe 0.860 0.537 0.324
Fe 0.860 0.537 0.676
Fe 0.903 0.097 0.204
Fe 0.903 0.097 0.796
Fe 0.933 0.275 0.373
Fe 0.933 0.275 0.627
Fe 0.963 0.360 0.176
Fe 0.963 0.360 0.824
B 0.124 0.876 0.500
B 0.376 0.376 0.000
B 0.624 0.624 0.000
B 0.876 0.124 0.500

The calculation puts the calculated formation energy at -0.08 eV/atom. The space group is P4_2/mnm, No. 136. The total energy is -0.29403 Ha/atom. The calculation puts the volume at 923.0 Å³/cell.

=====

[6]
VASP calculation (PBE) on a relaxed structure of ZnPb3.

Cell: 6.868 6.868 5.600 Å, 90.00 90.00 120.00°
Sites, in units of the cell vectors:
Zn 0.333 0.667 0.250
Zn 0.667 0.333 0.750
Pb 0.171 0.341 0.750
Pb 0.171 0.829 0.750
Pb 0.341 0.171 0.250
Pb 0.659 0.829 0.750
Pb 0.829 0.171 0.250
Pb 0.829 0.659 0.250

The calculation puts the calculated formation energy at 0.11 eV/atom. The space group is P6_3/mmc, No. 194. The total energy is -0.10978 Ha/atom. The calculation puts the volume at 228.7 Å³/cell.

=====

[7]
VASP calculation (PBE) on a relaxed structure of Cs2NaTaCl6.

Cell: 7.507 7.507 7.507 Å, 60.00 60.00 60.00°
Sites, in units of the cell vectors:
Cs 0.250 0.250 0.250
Cs 0.750 0.750 0.750
Na 0.000 0.000 0.000
Ta 0.500 0.500 0.500
Cl 0.265 0.265 0.735
Cl 0.265 0.735 0.265
Cl 0.265 0.735 0.735
Cl 0.735 0.265 0.265
Cl 0.735 0.265 0.735
Cl 0.735 0.735 0.265

The calculation puts the calculated formation energy at -1.95 eV/atom. The space group is Fm-3m, No. 225. The total energy is -0.15396 Ha/atom. The calculation puts the volume at 299.2 Å³/cell.

=====

[8]
VASP calculation (PBE) on a relaxed structure of ReN2.

Cell: 9.600 2.865 4.154 Å, 90.00 90.00 90.00°
Sites, in units of the cell vectors:
Re 0.109 0.250 0.099
Re 0.391 0.750 0.599
Re 0.609 0.250 0.401
Re 0.891 0.750 0.901
N 0.095 0.750 0.739
N 0.174 0.750 0.457
N 0.326 0.250 0.957
N 0.405 0.250 0.239
N 0.595 0.750 0.761
N 0.674 0.750 0.043
N 0.826 0.250 0.543
N 0.905 0.250 0.261

The calculation puts the calculated formation energy at 0.01 eV/atom. The space group is Pnma, No. 62. The total energy is -0.34760 Ha/atom. The calculation puts the volume at 114.3 Å³/cell.